This record from the Materials Project database describes Li19Mn8C16S4O64 after structural relaxation. The functional is PBE with a Hubbard U.

Cell: 9.459 9.551 16.389 Å, 74.12 73.52 60.37°
Fractional positions:
O 0.737 0.626 0.660
O 0.806 0.766 0.159
O 0.279 0.819 0.858
O 0.006 0.628 0.693
O 0.685 0.947 0.642
O 0.218 0.690 0.637
O 0.262 0.374 0.343
O 0.786 0.129 0.573
O 0.036 0.767 0.828
O 0.746 0.365 0.932
O 0.787 0.299 0.352
O 0.152 0.021 0.568
O 0.517 0.127 0.205
O 0.662 0.521 0.206
O 0.989 0.379 0.303
O 0.089 0.330 0.980
O 0.922 0.894 0.029
O 0.838 0.984 0.291
O 0.879 0.350 0.796
O 0.785 0.576 0.853
O 0.962 0.218 0.646
O 0.976 0.225 0.433
O 0.064 0.784 0.345
O 0.721 0.200 0.143
O 0.887 0.037 0.829
O 0.618 0.165 0.700
O 0.923 0.639 0.030
O 0.588 0.593 0.468
O 0.663 0.884 0.033
O 0.177 0.456 0.144
O 0.322 0.045 0.360
O 0.273 0.265 0.667
O 0.512 0.279 0.074
O 0.148 0.399 0.539
O 0.494 0.874 0.797
O 0.393 0.526 0.326
O 0.114 0.975 0.164
O 0.622 0.473 0.655
O 0.762 0.886 0.834
O 0.135 0.658 0.206
O 0.256 0.648 0.066
O 0.229 0.134 0.161
O 0.096 0.077 0.973
O 0.956 0.242 0.176
O 0.852 0.585 0.465
O 0.528 0.285 0.852
O 0.163 0.996 0.707
O 0.409 0.392 0.546
O 0.537 0.257 0.322
O 0.351 0.083 0.975
O 0.227 0.201 0.847
O 0.002 0.795 0.569
O 0.432 0.706 0.150
O 0.714 0.722 0.340
O 0.597 0.841 0.473
O 0.216 0.872 0.435
O 0.352 0.516 0.786
O 0.648 0.537 0.068
O 0.463 0.741 0.667
O 0.860 0.959 0.428
O 0.360 0.840 0.301
O 0.398 0.144 0.536
O 0.341 0.483 0.929
O 0.474 0.745 0.934
S 0.688 0.685 0.436
S 0.823 0.801 0.063
S 0.309 0.303 0.570
S 0.190 0.176 0.942
C 0.191 0.586 0.138
C 0.298 0.921 0.365
C 0.806 0.428 0.860
C 0.091 0.080 0.639
C 0.696 0.080 0.639
C 0.406 0.428 0.857
C 0.919 0.912 0.354
C 0.103 0.113 0.167
C 0.918 0.302 0.360
C 0.078 0.703 0.633
C 0.609 0.611 0.661
C 0.581 0.201 0.141
C 0.415 0.812 0.863
C 0.894 0.900 0.830
C 0.396 0.389 0.331
C 0.583 0.587 0.142
Li 0.312 0.271 0.042
Li 0.504 0.084 0.843
Li 0.585 0.002 0.328
Li 0.787 0.369 0.546
Li 0.916 0.913 0.164
Li 0.408 0.416 0.668
Li 0.790 0.805 0.537
Li 0.296 0.870 0.044
Li 0.021 0.571 0.337
Li 0.363 0.785 0.543
Li 0.074 0.082 0.840
Li 0.416 0.002 0.669
Li 0.122 0.696 0.959
Li 0.219 0.206 0.462
Li 0.573 0.584 0.333
Li 0.916 0.506 0.164
Li 0.717 0.708 0.961
Li 0.012 0.412 0.672
Li 0.873 0.285 0.037
Mn 0.754 0.752 0.748
Mn 0.256 0.246 0.249
Mn 0.247 0.754 0.750
Mn 0.501 0.502 0.999
Mn 0.995 0.002 0.498
Mn 0.745 0.256 0.752
Mn 0.748 0.250 0.250
Mn 0.251 0.750 0.250

Calculated values
Space group: No. 1
Spin magnetization, μB per cell: 35.0
Energy relative to the elements, meV per atom: -2048
ρ, g/cm³: 2.61